one:
# Mn2FeO6 PBE+U optimized geometry
data_Mn2FeO6
_symmetry_space_group_name_H-M 'P 1'
_symmetry_Int_Tables_number 1
_symmetry_space_group_name_Hall 'P 1'
_cell_length_a 5.864
_cell_length_b 5.910
_cell_length_c 14.298
_cell_angle_alpha 89.29
_cell_angle_beta 89.45
_cell_angle_gamma 60.62
loop_
_atom_site_label
_atom_site_type_symbol
_atom_site_fract_x
_atom_site_fract_y
_atom_site_fract_z
_atom_site_occupancy
O1 O 0.341 0.334 0.931 1
Fe1 Fe 0.500 0.000 0.000 1
O2 O 0.144 0.711 0.589 1
Mn1 Mn 0.667 0.166 0.334 1
O3 O 0.802 0.380 0.919 1
O4 O 0.800 0.825 0.918 1
O5 O 0.856 0.289 0.411 1
O6 O 0.045 0.471 0.253 1
O7 O 0.850 0.859 0.413 1
O8 O 0.519 0.958 0.744 1
O9 O 0.955 0.529 0.747 1
O10 O 0.150 0.141 0.587 1
O11 O 0.290 0.861 0.413 1
Mn2 Mn 0.000 0.000 0.500 1
Fe2 Fe 0.000 0.500 0.000 1
O12 O 0.200 0.175 0.082 1
O13 O 0.481 0.042 0.256 1
O14 O 0.998 0.007 0.265 1
O15 O 0.629 0.193 0.079 1
O16 O 0.664 0.673 0.599 1
Fe3 Fe 0.833 0.333 0.667 1
Fe4 Fe 0.167 0.667 0.333 1
O17 O 0.371 0.807 0.921 1
O18 O 0.659 0.666 0.069 1
Mn3 Mn 0.333 0.834 0.666 1
O19 O 0.710 0.139 0.587 1
O20 O 0.002 0.993 0.735 1
Mn4 Mn 0.832 0.834 0.667 1
Mn5 Mn 0.663 0.668 0.833 1
Mn6 Mn 0.168 0.166 0.333 1
Mn7 Mn 0.337 0.332 0.167 1
O21 O 0.486 0.472 0.254 1
O22 O 0.514 0.528 0.746 1
O23 O 0.336 0.327 0.401 1
O24 O 0.198 0.620 0.081 1
Mn8 Mn 0.500 0.500 0.000 1
# Crystal system = triclinic

two:
# Mn2FeO6 PBE+U optimized geometry
data_Mn2FeO6
_symmetry_space_group_name_H-M 'P 1'
_symmetry_Int_Tables_number 1
_symmetry_space_group_name_Hall 'P 1'
_cell_length_a 6.521
_cell_length_b 6.521
_cell_length_c 5.775
_cell_angle_alpha 79.08
_cell_angle_beta 79.08
_cell_angle_gamma 26.15
loop_
_atom_site_label
_atom_site_type_symbol
_atom_site_fract_x
_atom_site_fract_y
_atom_site_fract_z
_atom_site_occupancy
O1 O 0.988 0.988 0.231 1
Mn1 Mn 0.832 0.832 0.335 1
O2 O 0.323 0.323 0.559 1
O3 O 0.660 0.660 0.886 1
O4 O 0.340 0.340 0.114 1
O5 O 0.677 0.677 0.441 1
Fe1 Fe 0.500 0.500 0.000 1
O6 O 0.012 0.012 0.769 1
Mn2 Mn 0.168 0.168 0.665 1
# Crystal system = monoclinic

Quick ranking, most stable first: two, one.

one:
# MnFeP2O8 PBE+U optimized geometry
data_MnFeP2O8
_symmetry_space_group_name_H-M 'P 1'
_symmetry_Int_Tables_number 1
_symmetry_space_group_name_Hall 'P 1'
_cell_length_a 8.500
_cell_length_b 8.603
_cell_length_c 8.603
_cell_angle_alpha 60.00
_cell_angle_beta 59.60
_cell_angle_gamma 59.60
loop_
_atom_site_label
_atom_site_type_symbol
_atom_site_fract_x
_atom_site_fract_y
_atom_site_fract_z
_atom_site_occupancy
Mn1 Mn 0.927 0.358 0.358 1
O1 O 0.060 0.312 0.512 1
O2 O 0.730 0.444 0.238 1
O3 O 0.939 0.681 0.497 1
P1 P 0.245 0.251 0.546 1
Fe1 Fe 0.502 0.499 0.499 1
O4 O 0.730 0.238 0.588 1
O5 O 0.431 0.186 0.389 1
O6 O 0.060 0.116 0.312 1
P2 P 0.245 0.546 0.958 1
P3 P 0.755 0.039 0.749 1
P4 P 0.755 0.457 0.039 1
O7 O 0.568 0.006 0.817 1
O8 O 0.431 0.389 0.994 1
O9 O 0.218 0.941 0.092 1
O10 O 0.060 0.512 0.116 1
P5 P 0.755 0.749 0.457 1
O11 O 0.218 0.092 0.748 1
O12 O 0.568 0.609 0.006 1
Mn2 Mn 0.074 0.642 0.642 1
O13 O 0.568 0.817 0.609 1
O14 O 0.270 0.758 0.412 1
O15 O 0.939 0.883 0.681 1
O16 O 0.783 0.052 0.910 1
Mn3 Mn 0.433 0.856 0.856 1
Fe2 Fe 0.564 0.145 0.145 1
Fe3 Fe 0.000 0.000 0.000 1
O17 O 0.270 0.560 0.758 1
O18 O 0.270 0.412 0.560 1
O19 O 0.939 0.497 0.883 1
O20 O 0.783 0.910 0.255 1
O21 O 0.783 0.255 0.052 1
O22 O 0.730 0.588 0.444 1
O23 O 0.431 0.994 0.186 1
O24 O 0.218 0.748 0.941 1
P6 P 0.245 0.958 0.251 1
# Crystal system = trigonal

two:
# MnFeP2O8 PBE+U optimized geometry
data_MnFeP2O8
_symmetry_space_group_name_H-M 'P 1'
_symmetry_Int_Tables_number 1
_symmetry_space_group_name_Hall 'P 1'
_cell_length_a 8.593
_cell_length_b 8.593
_cell_length_c 8.593
_cell_angle_alpha 60.27
_cell_angle_beta 60.27
_cell_angle_gamma 60.27
loop_
_atom_site_label
_atom_site_type_symbol
_atom_site_fract_x
_atom_site_fract_y
_atom_site_fract_z
_atom_site_occupancy
O1 O 0.060 0.919 0.258 1
O2 O 0.734 0.943 0.088 1
O3 O 0.243 0.592 0.436 1
O4 O 0.760 0.412 0.554 1
Mn1 Mn 0.998 0.998 0.998 1
O5 O 0.088 0.734 0.943 1
O6 O 0.694 0.489 0.888 1
O7 O 0.379 0.996 0.189 1
O8 O 0.500 0.111 0.318 1
Mn2 Mn 0.500 0.500 0.500 1
O9 O 0.258 0.060 0.919 1
O10 O 0.815 0.612 0.008 1
O11 O 0.888 0.694 0.489 1
O12 O 0.554 0.760 0.412 1
O13 O 0.412 0.554 0.760 1
P1 P 0.753 0.456 0.047 1
O14 O 0.111 0.318 0.500 1
O15 O 0.996 0.189 0.379 1
O16 O 0.318 0.500 0.111 1
O17 O 0.592 0.436 0.243 1
O18 O 0.943 0.088 0.734 1
P2 P 0.539 0.957 0.251 1
P3 P 0.251 0.539 0.957 1
O19 O 0.436 0.243 0.592 1
O20 O 0.189 0.379 0.996 1
O21 O 0.612 0.008 0.815 1
O22 O 0.008 0.815 0.612 1
O23 O 0.919 0.258 0.060 1
Fe1 Fe 0.355 0.355 0.355 1
P4 P 0.047 0.753 0.456 1
P5 P 0.957 0.251 0.539 1
P6 P 0.456 0.047 0.753 1
Fe2 Fe 0.855 0.855 0.855 1
Mn3 Mn 0.144 0.144 0.144 1
O24 O 0.489 0.888 0.694 1
Fe3 Fe 0.646 0.646 0.646 1
# Crystal system = trigonal

three:
# MnFeP2O8 PBE+U optimized geometry
data_MnFeP2O8
_symmetry_space_group_name_H-M 'P 1'
_symmetry_Int_Tables_number 1
_symmetry_space_group_name_Hall 'P 1'
_cell_length_a 5.975
_cell_length_b 4.908
_cell_length_c 9.872
_cell_angle_alpha 89.29
_cell_angle_beta 90.00
_cell_angle_gamma 90.00
loop_
_atom_site_label
_atom_site_type_symbol
_atom_site_fract_x
_atom_site_fract_y
_atom_site_fract_z
_atom_site_occupancy
P1 P 0.750 0.912 0.401 1
O1 O 0.250 0.774 0.619 1
O2 O 0.750 0.226 0.381 1
O3 O 0.949 0.734 0.830 1
O4 O 0.046 0.225 0.672 1
Mn1 Mn 0.750 0.437 0.219 1
O5 O 0.250 0.150 0.447 1
P2 P 0.750 0.583 0.904 1
P3 P 0.250 0.417 0.096 1
O6 O 0.449 0.266 0.170 1
P4 P 0.250 0.088 0.599 1
O7 O 0.250 0.723 0.117 1
O8 O 0.546 0.775 0.328 1
O9 O 0.750 0.651 0.056 1
O10 O 0.954 0.775 0.328 1
Fe1 Fe 0.750 0.041 0.724 1
O11 O 0.051 0.266 0.170 1
O12 O 0.250 0.349 0.944 1
O13 O 0.454 0.225 0.672 1
Fe2 Fe 0.250 0.959 0.276 1
O14 O 0.750 0.850 0.553 1
Mn2 Mn 0.250 0.563 0.781 1
O15 O 0.750 0.277 0.883 1
O16 O 0.551 0.734 0.830 1
# Crystal system = monoclinic

Quick ranking, most stable first: three, two, one.

one:
# MnFeP2O8 PBE+U optimized geometry
data_MnFeP2O8
_symmetry_space_group_name_H-M 'P 1'
_symmetry_Int_Tables_number 1
_symmetry_space_group_name_Hall 'P 1'
_cell_length_a 4.889
_cell_length_b 9.922
_cell_length_c 5.974
_cell_angle_alpha 90.00
_cell_angle_beta 90.00
_cell_angle_gamma 90.00
loop_
_atom_site_label
_atom_site_type_symbol
_atom_site_fract_x
_atom_site_fract_y
_atom_site_fract_z
_atom_site_occupancy
O1 O 0.239 0.672 0.450 1
O2 O 0.239 0.672 0.050 1
O3 O 0.261 0.172 0.450 1
O4 O 0.726 0.830 0.954 1
Fe1 Fe 0.958 0.278 0.250 1
O5 O 0.726 0.830 0.546 1
O6 O 0.859 0.553 0.750 1
O7 O 0.782 0.622 0.250 1
P1 P 0.585 0.900 0.750 1
P2 P 0.410 0.098 0.250 1
O8 O 0.774 0.330 0.546 1
O9 O 0.343 0.948 0.250 1
O10 O 0.261 0.172 0.050 1
P3 P 0.090 0.598 0.250 1
O11 O 0.271 0.880 0.750 1
O12 O 0.641 0.053 0.750 1
P4 P 0.915 0.400 0.750 1
Mn1 Mn 0.067 0.717 0.750 1
O13 O 0.157 0.448 0.250 1
Fe2 Fe 0.542 0.778 0.250 1
O14 O 0.718 0.122 0.250 1
O15 O 0.774 0.330 0.954 1
Mn2 Mn 0.433 0.217 0.750 1
O16 O 0.229 0.380 0.750 1
# Crystal system = orthorhombic

two:
# MnFeP2O8 PBE+U optimized geometry
data_MnFeP2O8
_symmetry_space_group_name_H-M 'P 1'
_symmetry_Int_Tables_number 1
_symmetry_space_group_name_Hall 'P 1'
_cell_length_a 5.989
_cell_length_b 9.883
_cell_length_c 14.722
_cell_angle_alpha 89.95
_cell_angle_beta 90.00
_cell_angle_gamma 90.00
loop_
_atom_site_label
_atom_site_type_symbol
_atom_site_fract_x
_atom_site_fract_y
_atom_site_fract_z
_atom_site_occupancy
O1 O 0.198 0.173 0.578 1
O2 O 0.500 0.055 0.453 1
O3 O 0.801 0.170 0.911 1
O4 O 0.199 0.672 0.256 1
O5 O 0.703 0.828 0.093 1
O6 O 0.000 0.620 0.408 1
O7 O 0.704 0.831 0.427 1
Fe1 Fe 0.500 0.226 0.180 1
O8 O 0.000 0.447 0.281 1
O9 O 0.000 0.947 0.219 1
Mn1 Mn 0.500 0.719 0.645 1
O10 O 0.500 0.054 0.786 1
O11 O 0.297 0.329 0.740 1
Mn2 Mn 0.500 0.218 0.854 1
O12 O 0.000 0.446 0.950 1
O13 O 0.500 0.553 0.048 1
P1 P 0.500 0.402 0.027 1
O14 O 0.500 0.052 0.120 1
Fe2 Fe 0.000 0.275 0.679 1
O15 O 0.201 0.173 0.243 1
O16 O 0.000 0.621 0.742 1
P2 P 0.000 0.097 0.528 1
O17 O 0.000 0.120 0.093 1
P3 P 0.000 0.598 0.972 1
O18 O 0.500 0.381 0.923 1
Mn3 Mn 0.500 0.717 0.979 1
O19 O 0.198 0.674 0.590 1
O20 O 0.000 0.118 0.759 1
O21 O 0.201 0.670 0.924 1
P4 P 0.000 0.098 0.196 1
O22 O 0.000 0.449 0.617 1
O23 O 0.704 0.331 0.408 1
O24 O 0.500 0.880 0.244 1
O25 O 0.802 0.674 0.590 1
O26 O 0.500 0.554 0.714 1
P5 P 0.000 0.597 0.305 1
P6 P 0.500 0.403 0.361 1
O27 O 0.500 0.556 0.383 1
O28 O 0.299 0.831 0.758 1
O29 O 0.300 0.328 0.075 1
O30 O 0.500 0.882 0.578 1
O31 O 0.000 0.619 0.075 1
O32 O 0.000 0.120 0.426 1
O33 O 0.701 0.831 0.758 1
O34 O 0.000 0.947 0.553 1
Mn4 Mn 0.500 0.220 0.520 1
P7 P 0.000 0.599 0.639 1
O35 O 0.500 0.382 0.589 1
P8 P 0.500 0.401 0.693 1
Mn5 Mn 0.500 0.717 0.312 1
O36 O 0.297 0.828 0.093 1
Fe3 Fe 0.000 0.777 0.486 1
O37 O 0.799 0.670 0.924 1
Fe4 Fe 0.000 0.276 0.346 1
P9 P 0.500 0.902 0.473 1
O38 O 0.802 0.173 0.578 1
P10 P 0.000 0.095 0.861 1
O39 O 0.000 0.944 0.885 1
O40 O 0.703 0.329 0.740 1
O41 O 0.296 0.331 0.408 1
O42 O 0.296 0.831 0.427 1
O43 O 0.199 0.170 0.911 1
O44 O 0.799 0.173 0.243 1
O45 O 0.700 0.328 0.075 1
Fe5 Fe 0.000 0.274 0.013 1
Mn6 Mn 0.000 0.783 0.813 1
P11 P 0.500 0.901 0.806 1
O46 O 0.801 0.672 0.256 1
Fe6 Fe 0.000 0.776 0.153 1
O47 O 0.500 0.881 0.910 1
O48 O 0.500 0.383 0.258 1
P12 P 0.500 0.900 0.139 1
# Crystal system = monoclinic

Quick ranking, most stable first: one, two.

one:
# MnFe2P3O12 PBE+U optimized geometry
data_MnFe2P3O12
_symmetry_space_group_name_H-M 'P 1'
_symmetry_Int_Tables_number 1
_symmetry_space_group_name_Hall 'P 1'
_cell_length_a 17.817
_cell_length_b 4.870
_cell_length_c 9.889
_cell_angle_alpha 89.63
_cell_angle_beta 90.00
_cell_angle_gamma 90.00
loop_
_atom_site_label
_atom_site_type_symbol
_atom_site_fract_x
_atom_site_fract_y
_atom_site_fract_z
_atom_site_occupancy
O1 O 0.833 0.710 0.118 1
O2 O 0.400 0.752 0.832 1
O3 O 0.902 0.241 0.667 1
O4 O 0.167 0.151 0.443 1
O5 O 0.765 0.240 0.667 1
O6 O 0.265 0.752 0.332 1
O7 O 0.067 0.752 0.832 1
O8 O 0.000 0.208 0.379 1
O9 O 0.000 0.291 0.880 1
O10 O 0.098 0.241 0.667 1
O11 O 0.400 0.748 0.332 1
O12 O 0.833 0.785 0.620 1
Mn1 Mn 0.167 0.573 0.782 1
P1 P 0.667 0.599 0.906 1
O13 O 0.333 0.660 0.057 1
O14 O 0.833 0.151 0.443 1
O15 O 0.500 0.351 0.942 1
O16 O 0.333 0.837 0.557 1
O17 O 0.334 0.292 0.880 1
Fe1 Fe 0.334 0.450 0.224 1
O18 O 0.569 0.260 0.166 1
Fe2 Fe 0.000 0.452 0.226 1
O19 O 0.333 0.207 0.380 1
P2 P 0.000 0.898 0.406 1
O20 O 0.234 0.252 0.167 1
Mn2 Mn 0.833 0.573 0.782 1
Fe3 Fe 0.167 0.950 0.275 1
O21 O 0.766 0.252 0.167 1
Fe4 Fe 0.000 0.053 0.723 1
O22 O 0.667 0.207 0.380 1
P3 P 0.000 0.599 0.906 1
P4 P 0.167 0.401 0.094 1
O23 O 0.500 0.717 0.119 1
P5 P 0.500 0.098 0.596 1
P6 P 0.500 0.403 0.096 1
O24 O 0.432 0.240 0.666 1
O25 O 0.833 0.342 0.941 1
O26 O 0.568 0.240 0.666 1
O27 O 0.734 0.752 0.832 1
Fe5 Fe 0.333 0.053 0.723 1
Mn3 Mn 0.500 0.574 0.782 1
P7 P 0.833 0.401 0.094 1
P8 P 0.833 0.100 0.597 1
O28 O 0.099 0.252 0.167 1
O29 O 0.000 0.837 0.557 1
Fe6 Fe 0.666 0.450 0.224 1
O30 O 0.667 0.837 0.557 1
O31 O 0.600 0.748 0.332 1
O32 O 0.167 0.710 0.118 1
O33 O 0.167 0.342 0.941 1
Fe7 Fe 0.667 0.053 0.723 1
P9 P 0.668 0.899 0.406 1
O34 O 0.932 0.752 0.331 1
O35 O 0.735 0.752 0.332 1
O36 O 0.235 0.240 0.667 1
O37 O 0.500 0.784 0.619 1
O38 O 0.068 0.752 0.331 1
O39 O 0.600 0.752 0.832 1
P10 P 0.332 0.899 0.406 1
Fe8 Fe 0.833 0.950 0.275 1
O40 O 0.167 0.785 0.620 1
O41 O 0.000 0.658 0.057 1
P11 P 0.167 0.100 0.597 1
O42 O 0.667 0.660 0.057 1
O43 O 0.933 0.752 0.832 1
Mn4 Mn 0.500 0.924 0.283 1
P12 P 0.333 0.599 0.906 1
O44 O 0.431 0.260 0.166 1
O45 O 0.266 0.752 0.832 1
O46 O 0.500 0.150 0.441 1
O47 O 0.901 0.252 0.167 1
O48 O 0.666 0.292 0.880 1
# Crystal system = monoclinic

two:
# MnFe2P3O12 PBE+U optimized geometry
data_MnFe2P3O12
_symmetry_space_group_name_H-M 'P 1'
_symmetry_Int_Tables_number 1
_symmetry_space_group_name_Hall 'P 1'
_cell_length_a 8.571
_cell_length_b 8.571
_cell_length_c 8.571
_cell_angle_alpha 60.71
_cell_angle_beta 60.71
_cell_angle_gamma 60.71
loop_
_atom_site_label
_atom_site_type_symbol
_atom_site_fract_x
_atom_site_fract_y
_atom_site_fract_z
_atom_site_occupancy
Fe1 Fe 0.855 0.855 0.855 1
Mn1 Mn 0.000 0.000 0.000 1
O1 O 0.182 0.390 0.995 1
O2 O 0.910 0.257 0.060 1
O3 O 0.257 0.060 0.910 1
P1 P 0.045 0.750 0.455 1
O4 O 0.682 0.495 0.890 1
O5 O 0.818 0.610 0.005 1
P2 P 0.750 0.455 0.045 1
O6 O 0.090 0.743 0.940 1
P3 P 0.955 0.250 0.545 1
O7 O 0.005 0.818 0.610 1
O8 O 0.410 0.560 0.757 1
O9 O 0.505 0.110 0.318 1
O10 O 0.318 0.505 0.110 1
O11 O 0.110 0.318 0.505 1
O12 O 0.590 0.440 0.243 1
O13 O 0.390 0.995 0.182 1
Fe2 Fe 0.645 0.645 0.645 1
O14 O 0.995 0.182 0.390 1
O15 O 0.060 0.910 0.257 1
O16 O 0.243 0.590 0.440 1
P4 P 0.455 0.045 0.750 1
O17 O 0.940 0.090 0.743 1
O18 O 0.495 0.890 0.682 1
O19 O 0.610 0.005 0.818 1
P5 P 0.545 0.955 0.250 1
Fe3 Fe 0.355 0.355 0.355 1
O20 O 0.743 0.940 0.090 1
P6 P 0.250 0.545 0.955 1
O21 O 0.560 0.757 0.410 1
O22 O 0.757 0.410 0.560 1
O23 O 0.890 0.682 0.495 1
Fe4 Fe 0.145 0.145 0.145 1
O24 O 0.440 0.243 0.590 1
Mn2 Mn 0.500 0.500 0.500 1
# Crystal system = trigonal

Quick ranking, most stable first: one, two.